A relaxed CaAg2 crystal, computed with r²SCAN.

```
CaAg2
1.0
-2.0396 3.3757 -2.4769
-4.5979 2.5049 2.8215
1.8825 5.4422 1.4882
Ag Ca
4 2
Direct
0.3386 0.7122 0.1107
0.6614 0.8893 0.2878
0.6614 0.2878 0.8893
0.3386 0.1107 0.7122
0.0463 0.7037 0.7037
0.9537 0.2963 0.2963
```

Computed properties:
ρ in kg/m3: 6138
Formation energy in eV per formula unit: -0.84
Symmetry: No. 74